# Li3Mn2Cr2O8 PBE+U relaxed
data_Li3Mn2Cr2O8
_chemical_formula_sum 'Li12 Mn8 Cr8 O32'
_space_group_name_H-M_alt 'P -1'
_space_group_IT_number 2
_cell_length_a 6.009
_cell_length_b 10.225
_cell_length_c 10.260
_cell_angle_alpha 108.31
_cell_angle_beta 90.24
_cell_angle_gamma 90.74
loop_
_space_group_symop_operation_xyz
'x,y,z'
'-x,-y,-z'
loop_
_atom_site_label
_atom_site_type_symbol
_atom_site_fract_x
_atom_site_fract_y
_atom_site_fract_z
_atom_site_occupancy
Li1 Li 0.003 0.250 0.246 1
Li2 Li 0.244 0.747 0.994 1
Li3 Li 0.248 0.249 0.503 1
Li4 Li 0.251 0.993 0.245 1
Li5 Li 0.252 0.501 0.756 1
Li6 Li 0.490 0.243 0.749 1
Mn1 Mn 0.000 0.000 0.000 1
Mn2 Mn 0.000 0.500 0.000 1
Mn3 Mn 0.250 0.750 0.499 1
Mn4 Mn 0.254 0.250 0.998 1
Mn5 Mn 0.500 0.000 0.000 1
Mn6 Mn 0.500 0.500 0.500 1
Cr1 Cr 0.000 0.000 0.500 1
Cr2 Cr 0.000 0.500 0.500 1
Cr3 Cr 0.247 0.994 0.749 1
Cr4 Cr 0.250 0.502 0.249 1
Cr5 Cr 0.500 0.000 0.500 1
Cr6 Cr 0.500 0.500 0.000 1
O1 O 0.007 0.388 0.129 1
O2 O 0.018 0.112 0.879 1
O3 O 0.020 0.870 0.615 1
O4 O 0.027 0.624 0.385 1
O5 O 0.216 0.884 0.881 1
O6 O 0.243 0.116 0.103 1
O7 O 0.248 0.607 0.111 1
O8 O 0.252 0.618 0.605 1
O9 O 0.253 0.396 0.388 1
O10 O 0.253 0.878 0.393 1
O11 O 0.256 0.106 0.617 1
O12 O 0.271 0.369 0.886 1
O13 O 0.472 0.874 0.615 1
O14 O 0.477 0.383 0.124 1
O15 O 0.480 0.625 0.384 1
O16 O 0.493 0.105 0.871 1
# VASP energy	-412.37	eV/cell
# E_form	-2.20	eV/atom